Record 1
Entry from the Materials Project database: a relaxed Li4MnSnW2O12 crystal (PBE with a Hubbard U).

Structure (POSCAR):
```
Li4MnSnW2O12
1.0
-5.0200 -0.1995 -2.0577
1.6563 -9.6742 -3.0962
-3.0981 -2.5615 6.3336
Li Mn Sn W O
8 2 2 4 24
Cartesian
-3.7478 -0.8872 0.7125
-2.9196 -5.7240 -0.8356
-2.4305 -4.4152 3.9830
-1.6019 -9.2525 2.4348
-5.1402 -2.0854 3.7083
-4.3116 -6.9227 2.1601
-0.8561 -3.1670 0.9444
-0.0270 -8.0044 -0.6033
-3.6797 -3.7972 1.3809
-2.8513 -8.6342 -0.1669
-0.0176 -0.0103 0.0067
0.8103 -4.8477 -1.5414
0.0951 -10.9453 0.0843
-2.1189 -2.5444 -1.7987
-1.2909 -7.3818 -3.3467
-0.7332 -6.1084 1.6325
-5.0648 -2.6956 0.6499
-4.2366 -7.5326 -0.8980
-7.0886 -2.7109 2.4840
-6.2604 -7.5483 0.9361
-0.7831 -1.8149 -0.5551
0.0448 -6.6534 -2.1029
-2.6452 -2.1493 1.8440
-1.8174 -6.9866 0.2963
-3.8157 -6.3501 3.9607
-2.9876 -11.1872 2.4127
-4.4009 -3.8396 3.1527
-3.5726 -8.6774 1.6049
-2.7167 -3.7264 -0.4108
-1.8888 -8.5631 -1.9594
-3.3454 -1.1600 -1.2890
-2.5173 -5.9970 -2.8371
-4.4834 -5.4435 0.8418
-3.6552 -10.2805 -0.7063
-6.3517 -5.7988 3.1594
-5.5237 -10.6361 1.6115
-5.0359 -5.0744 -1.7457
-4.2074 -9.9116 -3.2939
-2.0912 -4.8145 2.0457
-1.2608 -9.6498 0.4973
```

Results
E_tot, eV per atom: -6.5528
DFT formation energy, eV per atom: -2.187


Record 2
Entry from the Materials Project database: a relaxed LiCoBO3 crystal (PBE with a Hubbard U).

Structure (POSCAR):
```
LiCoBO3
1.0
3.1654 0.0000 0.0000
0.2666 14.2577 0.0000
0.2291 7.1147 12.3647
Li Co B O
9 9 9 27
Cartesian
0.0000 0.0000 0.0000
0.0836 2.8831 3.5914
0.1636 4.6914 7.6922
0.3574 14.3036 8.0318
0.4404 11.8388 3.6505
3.1701 7.2608 3.8406
3.3415 9.7020 7.7431
3.4322 11.6753 11.6542
3.5395 16.9296 11.8831
1.6129 9.1646 2.2479
1.5984 5.0803 2.0722
1.8847 14.3486 10.6650
1.7912 9.2589 10.5211
1.7631 7.3737 6.9091
2.0432 19.1776 10.5400
1.9765 16.6638 6.4047
1.9478 14.4732 2.6606
2.0300 12.2778 6.0980
0.2070 7.0937 9.4004
0.4040 14.5831 5.0985
1.6856 5.0171 5.0295
1.6215 2.4799 0.9639
1.7960 9.6089 5.0805
1.8786 11.8456 9.0923
1.9757 16.7243 9.2032
1.8325 11.9524 1.1253
3.1930 7.1387 0.7572
0.2052 5.7112 9.5301
0.3802 15.3914 6.2274
0.3588 15.1189 3.8159
0.4731 13.2151 5.2471
1.4487 10.6157 1.0253
1.4712 8.6793 4.1139
1.5199 3.6439 4.9416
1.7427 12.4590 10.3283
1.5810 5.8025 3.8854
1.7348 10.4655 8.9922
1.8307 10.3249 12.1505
1.9635 17.2191 10.5036
1.6031 1.0929 0.9224
1.6588 3.1362 2.1858
1.9401 15.3523 8.9825
1.8352 9.2409 6.4067
2.0223 17.6028 8.1257
2.0064 12.5479 2.3708
2.2456 19.8192 12.3411
1.9765 5.5976 6.2619
2.0844 10.9102 4.7241
2.1779 12.6122 7.9678
3.1665 7.9542 1.8682
3.1792 5.7596 0.9354
3.4640 14.8267 11.8582
3.3770 7.9343 10.5070
3.3675 7.6511 8.1408
```

Results
E_tot, eV per atom: -6.6874
Space group: P1
DFT formation energy, eV per atom: -2.214